Compound: Zn
Source: the Materials Project
Functional: GGA-PBE
Structure: relaxed

Structure (POSCAR):
```
Zn
1.0
11.792 -0.590 0.336
-0.575 11.777 -0.118
0.316 -0.103 11.575
Zn
100
Direct
0.350 0.693 0.799
0.979 0.189 0.588
0.491 0.001 0.458
0.189 0.472 0.021
0.786 0.724 0.623
0.321 0.683 0.030
0.908 0.758 0.893
0.942 0.445 0.157
0.795 0.588 0.039
0.271 0.589 0.430
0.467 0.300 0.208
0.741 0.546 0.265
0.699 0.835 0.958
0.504 0.381 0.580
0.832 0.294 0.933
0.849 0.955 0.534
0.141 0.654 0.882
0.072 0.007 0.443
0.570 0.020 0.807
0.266 0.961 0.303
0.541 0.512 0.160
0.303 0.926 0.849
0.052 0.289 0.960
0.954 0.375 0.429
0.603 0.815 0.524
0.084 0.918 0.854
0.071 0.793 0.032
0.944 0.629 0.291
0.975 0.612 0.713
0.300 0.150 0.168
0.647 0.424 0.887
0.123 0.628 0.154
0.918 0.208 0.135
0.865 0.789 0.130
0.910 0.380 0.722
0.109 0.386 0.587
0.198 0.199 0.804
0.380 0.794 0.467
0.708 0.047 0.368
0.797 0.165 0.744
0.976 0.841 0.677
0.431 0.302 0.820
0.052 0.581 0.492
0.138 0.245 0.388
0.779 0.316 0.299
0.893 0.941 0.299
0.439 0.888 0.668
0.240 0.212 0.578
0.423 0.616 0.588
0.709 0.447 0.663
0.606 0.236 0.694
0.163 0.788 0.452
0.278 0.984 0.535
0.918 0.158 0.363
0.196 0.990 0.045
0.280 0.282 0.994
0.837 0.543 0.494
0.413 0.466 0.986
0.200 0.816 0.680
0.132 0.435 0.805
0.300 0.744 0.255
0.576 0.210 0.449
0.497 0.634 0.345
0.594 0.747 0.743
0.791 0.932 0.766
0.638 0.721 0.158
0.479 0.830 0.924
0.128 0.463 0.309
0.664 0.036 0.599
0.527 0.856 0.290
0.380 0.899 0.113
0.694 0.165 0.151
0.777 0.264 0.531
0.495 0.524 0.769
0.719 0.942 0.164
0.687 0.374 0.102
0.389 0.110 0.948
0.564 0.016 0.031
0.947 0.776 0.459
0.404 0.114 0.681
0.327 0.522 0.210
0.343 0.384 0.418
0.630 0.587 0.514
0.497 0.074 0.237
0.744 0.760 0.358
0.958 0.502 0.927
0.200 0.598 0.654
0.082 0.077 0.226
0.970 0.002 0.047
0.569 0.635 0.962
0.135 0.295 0.170
0.105 0.038 0.665
0.311 0.412 0.672
0.609 0.214 0.934
0.979 0.107 0.836
0.584 0.412 0.367
0.076 0.825 0.251
0.355 0.162 0.389
0.755 0.610 0.814
0.787 0.063 0.963
```

Output
Excess energy over the best structure of this formula in the dataset, eV per formula unit: 0.049
M_tot, μB per formula unit: 0.00
Energy of formation, eV per atom: 0.049
Space-group type: P1